No. 1
{
  "formula": "CeP12Os4",
  "functional": "r²SCAN",
  "state": "relaxed",
  "lattice_angstrom": [[-3.367, -2.567, 5.576], [6.592, -2.357, -0.035], [0.024, 6.995, 0.305]],
  "species": ["Ce", "P", "P", "P", "P", "P", "P", "P", "P", "P", "P", "P", "P", "Os", "Os", "Os", "Os"],
  "fractional_positions": [[0.000, 0.000, 0.000], [0.857, 0.644, 0.502], [0.143, 0.356, 0.498], [0.143, 0.644, 0.787], [0.857, 0.356, 0.213], [0.644, 0.502, 0.857], [0.356, 0.498, 0.143], [0.644, 0.787, 0.143], [0.356, 0.213, 0.857], [0.502, 0.857, 0.644], [0.498, 0.143, 0.356], [0.787, 0.143, 0.644], [0.213, 0.857, 0.356], [0.500, 0.500, 0.500], [0.500, 0.000, 0.000], [0.000, 0.500, 0.000], [0.000, 0.000, 0.500]],
  "delta_e_f_ev_per_atom": -0.71,
  "crystal_system": "cubic"
}

No. 2
{
  "formula": "CeOsRu",
  "functional": "r²SCAN",
  "state": "relaxed",
  "lattice_angstrom": [[-2.520, 2.752, 3.921], [2.520, -2.752, 3.921], [2.520, 2.752, -3.921]],
  "species": ["Ce", "Ce", "Os", "Os", "Ru", "Ru"],
  "fractional_positions": [[0.126, 0.876, 0.250], [0.874, 0.124, 0.750], [0.500, 0.500, 0.500], [0.500, 0.000, 0.000], [0.500, 0.500, 0.000], [0.000, 0.500, 0.500]],
  "delta_e_f_ev_per_atom": -0.28,
  "crystal_system": "orthorhombic"
}

No. 3
{
  "formula": "CeSiOs",
  "functional": "r²SCAN",
  "state": "relaxed",
  "lattice_angstrom": [[-2.056, 3.608, -0.745], [-1.426, -1.566, -3.648], [-5.579, -2.507, 3.256]],
  "species": ["Ce", "Ce", "Si", "Si", "Os", "Os"],
  "fractional_positions": [[0.250, 0.250, 0.680], [0.750, 0.750, 0.320], [0.250, 0.250, 0.177], [0.750, 0.750, 0.823], [0.750, 0.250, 0.000], [0.250, 0.750, 0.000]],
  "delta_e_f_ev_per_atom": -0.73,
  "crystal_system": "tetragonal"
}

No. 4
{
  "formula": "CeP5",
  "functional": "r²SCAN",
  "state": "relaxed",
  "lattice_angstrom": [[9.633, 0.000, 0.000], [0.000, 4.974, -0.308], [0.000, 1.659, 5.262]],
  "species": ["Ce", "Ce", "P", "P", "P", "P", "P", "P", "P", "P", "P", "P"],
  "fractional_positions": [[0.250, 0.526, 0.135], [0.750, 0.474, 0.865], [0.250, 0.796, 0.578], [0.750, 0.204, 0.422], [0.911, 0.882, 0.458], [0.411, 0.118, 0.542], [0.089, 0.118, 0.542], [0.589, 0.882, 0.458], [0.963, 0.795, 0.105], [0.463, 0.205, 0.895], [0.037, 0.205, 0.895], [0.537, 0.795, 0.105]],
  "delta_e_f_ev_per_atom": -0.64,
  "crystal_system": "monoclinic"
}

No. 5
{
  "formula": "CeP",
  "functional": "r²SCAN",
  "state": "relaxed",
  "lattice_angstrom": [[-3.270, 0.942, 2.443], [-2.598, -3.027, 1.282], [-0.020, -1.180, 4.020]],
  "species": ["Ce", "P"],
  "fractional_positions": [[0.000, 0.000, 0.000], [0.500, 0.500, 0.500]],
  "delta_e_f_ev_per_atom": -1.76,
  "crystal_system": "cubic"
}

No. 6
{
  "formula": "CePPd",
  "functional": "r²SCAN",
  "state": "relaxed",
  "lattice_angstrom": [[4.239, 0.000, 0.000], [-2.119, 3.671, 0.000], [0.000, 0.000, 7.897]],
  "species": ["Ce", "Ce", "P", "P", "Pd", "Pd"],
  "fractional_positions": [[0.000, 0.000, 0.500], [0.000, 0.000, 0.000], [0.333, 0.667, 0.750], [0.667, 0.333, 0.250], [0.333, 0.667, 0.250], [0.667, 0.333, 0.750]],
  "delta_e_f_ev_per_atom": -1.38,
  "crystal_system": "hexagonal"
}

No. 7
{
  "formula": "CeP2Pt4",
  "functional": "r²SCAN",
  "state": "relaxed",
  "lattice_angstrom": [[4.172, 0.000, 0.000], [0.000, 7.346, 0.000], [0.000, 0.000, 15.646]],
  "species": ["Ce", "Ce", "Ce", "Ce", "P", "P", "P", "P", "P", "P", "P", "P", "Pt", "Pt", "Pt", "Pt", "Pt", "Pt", "Pt", "Pt", "Pt", "Pt", "Pt", "Pt", "Pt", "Pt", "Pt", "Pt"],
  "fractional_positions": [[0.250, 0.843, 0.181], [0.750, 0.157, 0.819], [0.250, 0.343, 0.319], [0.750, 0.657, 0.681], [0.250, 0.317, 0.693], [0.250, 0.795, 0.555], [0.750, 0.205, 0.445], [0.750, 0.183, 0.193], [0.250, 0.817, 0.807], [0.250, 0.295, 0.945], [0.750, 0.705, 0.055], [0.750, 0.683, 0.307], [0.250, 0.987, 0.682], [0.250, 0.487, 0.818], [0.750, 0.371, 0.006], [0.750, 0.749, 0.874], [0.750, 0.522, 0.442], [0.750, 0.249, 0.626], [0.750, 0.513, 0.182], [0.750, 0.022, 0.058], [0.250, 0.751, 0.374], [0.250, 0.251, 0.126], [0.250, 0.978, 0.942], [0.250, 0.129, 0.506], [0.750, 0.871, 0.494], [0.750, 0.013, 0.318], [0.250, 0.629, 0.994], [0.250, 0.478, 0.558]],
  "delta_e_f_ev_per_atom": -0.98,
  "crystal_system": "orthorhombic"
}

No. 8
{
  "formula": "CeP2Rh2",
  "functional": "r²SCAN",
  "state": "relaxed",
  "lattice_angstrom": [[4.153, 0.000, 0.000], [0.000, 4.153, 0.000], [0.000, 0.000, 9.450]],
  "species": ["Ce", "Ce", "P", "P", "P", "P", "Rh", "Rh", "Rh", "Rh"],
  "fractional_positions": [[0.250, 0.250, 0.744], [0.750, 0.750, 0.256], [0.250, 0.250, 0.139], [0.750, 0.750, 0.861], [0.750, 0.250, 0.500], [0.250, 0.750, 0.500], [0.250, 0.250, 0.388], [0.750, 0.750, 0.612], [0.750, 0.250, 0.000], [0.250, 0.750, 0.000]],
  "delta_e_f_ev_per_atom": -1.21,
  "crystal_system": "tetragonal"
}

No. 9
{
  "formula": "CePa3",
  "functional": "r²SCAN",
  "state": "relaxed",
  "lattice_angstrom": [[-0.784, -4.200, -1.833], [1.715, -1.994, 3.834], [-4.249, -0.030, 1.885]],
  "species": ["Ce", "Pa", "Pa", "Pa"],
  "fractional_positions": [[0.000, 0.000, 0.000], [0.000, 0.500, 0.500], [0.500, 0.000, 0.500], [0.500, 0.500, 0.000]],
  "delta_e_f_ev_per_atom": 0.06,
  "crystal_system": "cubic"
}

No. 10
{
  "formula": "Ce3Pb",
  "functional": "r²SCAN",
  "state": "relaxed",
  "lattice_angstrom": [[-1.907, 3.303, 3.130], [-4.531, -1.705, -0.961], [0.439, -3.244, 3.690]],
  "species": ["Ce", "Ce", "Ce", "Pb"],
  "fractional_positions": [[0.000, 0.500, 0.500], [0.500, 0.000, 0.500], [0.500, 0.500, 0.000], [0.000, 0.000, 0.000]],
  "delta_e_f_ev_per_atom": -0.44,
  "crystal_system": "cubic"
}

No. 11
{
  "formula": "CePb3",
  "functional": "r²SCAN",
  "state": "relaxed",
  "lattice_angstrom": [[-2.078, 3.718, -2.414], [-3.960, -0.359, 2.856], [1.992, 3.165, 3.160]],
  "species": ["Ce", "Pb", "Pb", "Pb"],
  "fractional_positions": [[0.000, 0.000, 0.000], [0.000, 0.500, 0.500], [0.500, 0.500, 0.000], [0.500, 0.000, 0.500]],
  "delta_e_f_ev_per_atom": -0.47,
  "crystal_system": "cubic"
}

No. 12
{
  "formula": "Ce2Pd2Pb",
  "functional": "r²SCAN",
  "state": "relaxed",
  "lattice_angstrom": [[7.973, 0.001, 0.000], [0.001, 7.973, 0.000], [0.000, 0.000, 3.824]],
  "species": ["Ce", "Ce", "Ce", "Ce", "Pd", "Pd", "Pd", "Pd", "Pb", "Pb"],
  "fractional_positions": [[0.679, 0.179, 0.500], [0.179, 0.321, 0.500], [0.821, 0.679, 0.500], [0.321, 0.821, 0.500], [0.377, 0.123, 0.000], [0.123, 0.623, 0.000], [0.623, 0.877, 0.000], [0.877, 0.377, 0.000], [0.000, 0.000, 0.000], [0.500, 0.500, 0.000]],
  "delta_e_f_ev_per_atom": -0.84,
  "crystal_system": "tetragonal"
}